# 1
Material: GePb2S4
Method: DFT, meta-GGA r2SCAN
State: relaxed

Geometry as CIF:
```
data_GePb2S4
_cell_length_a 8.0468
_cell_length_b 9.2932
_cell_length_c 10.9040
_cell_angle_alpha 90.00
_cell_angle_beta 114.53
_cell_angle_gamma 90.00
_space_group_name_H-M_alt 'P 1 21/c 1'
_space_group_IT_number 14
loop_
_space_group_symop_operation_xyz
'x,y,z'
'-x,-y,-z'
'-x,y+1/2,-z+1/2'
'x,-y+1/2,z+1/2'
loop_
_atom_site_label
_atom_site_fract_x
_atom_site_fract_y
_atom_site_fract_z
_atom_site_occupancy
Ge1 0.2167 0.1899 0.0060 1
Pb1 0.0961 0.5493 0.8487 1
Pb2 0.4607 0.6726 0.6608 1
S1 0.0528 0.7038 0.0976 1
S2 0.2515 0.0219 0.8726 1
S3 0.2780 0.0891 0.2037 1
S4 0.4203 0.1360 0.5572 1
```

Calculated values
Raw total energy in eV/atom: -23.23
Crystal system: monoclinic
DFT formation energy in eV per atom: -0.572

# 2
Material: ScOs2
Method: DFT, meta-GGA r2SCAN
State: relaxed

Geometry as CIF:
```
data_ScOs2
_cell_length_a 5.1768
_cell_length_b 5.1768
_cell_length_c 8.5971
_cell_angle_alpha 90.00
_cell_angle_beta 90.00
_cell_angle_gamma 120.00
_space_group_name_H-M_alt 'P 63/m m c'
_space_group_IT_number 194
_space_group_name_Hall '-P 6c 2c'
loop_
_atom_site_label
_atom_site_fract_x
_atom_site_fract_y
_atom_site_fract_z
_atom_site_occupancy
Sc1 0.3333 0.6667 0.0670 1
Os1 0.0000 0.0000 0.0000 1
Os2 0.1728 0.3455 0.7500 1
```

Calculated values
Raw total energy in eV/atom: -39.56
Crystal system: hexagonal
DFT formation energy in eV per atom: -0.438

# 3
Material: YbTmPd2
Method: DFT, meta-GGA r2SCAN
State: relaxed

Geometry as CIF:
```
data_YbTmPd2
_cell_length_a 6.8629
_cell_length_b 6.8629
_cell_length_c 6.8629
_cell_angle_alpha 90.00
_cell_angle_beta 90.00
_cell_angle_gamma 90.00
_space_group_name_H-M_alt 'F m -3 m'
_space_group_IT_number 225
_space_group_name_Hall '-F 4 2 3'
loop_
_atom_site_label
_atom_site_fract_x
_atom_site_fract_y
_atom_site_fract_z
_atom_site_occupancy
Yb1 0.0000 0.0000 0.0000 1
Tm1 0.0000 0.0000 0.5000 1
Pd1 0.2500 0.2500 0.2500 1
```

Calculated values
Raw total energy in eV/atom: -30.38
Crystal system: cubic
DFT formation energy in eV per atom: -0.987

# 4
Material: Li5Mg
Method: DFT, meta-GGA r2SCAN
State: relaxed

Geometry as CIF:
```
data_Li5Mg
_cell_length_a 3.0622
_cell_length_b 3.0622
_cell_length_c 15.3228
_cell_angle_alpha 90.00
_cell_angle_beta 90.00
_cell_angle_gamma 120.00
_space_group_name_H-M_alt 'P -6 m 2'
_space_group_IT_number 187
_space_group_name_Hall 'P -6 2'
loop_
_atom_site_label
_atom_site_fract_x
_atom_site_fract_y
_atom_site_fract_z
_atom_site_occupancy
Li1 0.0000 0.0000 0.0000 1
Li2 0.0000 0.0000 0.3302 1
Li3 0.3333 0.6667 0.1666 1
Mg1 0.3333 0.6667 0.5000 1
```

Calculated values
Raw total energy in eV/atom: -2.69
Crystal system: hexagonal
DFT formation energy in eV per atom: -0.006
Distance to the lowest polymorph of the same formula in meV/atom: 9.1

# 5
Material: TiBr2
Method: DFT, meta-GGA r2SCAN
State: relaxed

Geometry as CIF:
```
data_TiBr2
_cell_length_a 3.8814
_cell_length_b 3.8814
_cell_length_c 6.4235
_cell_angle_alpha 90.00
_cell_angle_beta 90.00
_cell_angle_gamma 120.00
_space_group_name_H-M_alt 'P -3 m 1'
_space_group_IT_number 164
_space_group_name_Hall '-P 3 2"'
loop_
_atom_site_label
_atom_site_fract_x
_atom_site_fract_y
_atom_site_fract_z
_atom_site_occupancy
Ti1 0.0000 0.0000 0.0000 1
Br1 0.3333 0.6667 0.2349 1
```

Calculated values
Raw total energy in eV/atom: -14.51
Crystal system: trigonal
DFT formation energy in eV per atom: -1.355

# 6
Material: SmFe5
Method: DFT, meta-GGA r2SCAN
State: relaxed

Geometry as CIF:
```
data_SmFe5
_cell_length_a 5.1955
_cell_length_b 5.1955
_cell_length_c 3.9217
_cell_angle_alpha 90.00
_cell_angle_beta 90.00
_cell_angle_gamma 120.00
_space_group_name_H-M_alt 'P 6/m m m'
_space_group_IT_number 191
_space_group_name_Hall '-P 6 2'
loop_
_atom_site_label
_atom_site_fract_x
_atom_site_fract_y
_atom_site_fract_z
_atom_site_occupancy
Sm1 0.0000 0.0000 0.0000 1
Fe1 0.0000 0.5000 0.5000 1
Fe2 0.3333 0.6667 0.0000 1
```

Calculated values
Raw total energy in eV/atom: -16.92
Crystal system: hexagonal
DFT formation energy in eV per atom: 0.050

# 7
Material: Gd2MgSi2
Method: DFT, meta-GGA r2SCAN
State: relaxed

Geometry as CIF:
```
data_Gd2MgSi2
_cell_length_a 7.2371
_cell_length_b 7.2371
_cell_length_c 4.2549
_cell_angle_alpha 90.00
_cell_angle_beta 90.00
_cell_angle_gamma 90.00
_space_group_name_H-M_alt 'P 4/m b m'
_space_group_IT_number 127
_space_group_name_Hall '-P 4 2ab'
loop_
_atom_site_label
_atom_site_fract_x
_atom_site_fract_y
_atom_site_fract_z
_atom_site_occupancy
Gd1 0.1785 0.3215 0.0000 1
Mg1 0.0000 0.0000 0.5000 1
Si1 0.1167 0.6167 0.5000 1
```

Calculated values
Raw total energy in eV/atom: -22.43
Crystal system: tetragonal
DFT formation energy in eV per atom: -0.725

# 8
Material: NaAcTe2
Method: DFT, meta-GGA r2SCAN
State: relaxed

Geometry as CIF:
```
data_NaAcTe2
_cell_length_a 8.0295
_cell_length_b 8.0295
_cell_length_c 8.0295
_cell_angle_alpha 90.00
_cell_angle_beta 90.00
_cell_angle_gamma 90.00
_space_group_name_H-M_alt 'F m -3 m'
_space_group_IT_number 225
_space_group_name_Hall '-F 4 2 3'
loop_
_atom_site_label
_atom_site_fract_x
_atom_site_fract_y
_atom_site_fract_z
_atom_site_occupancy
Na1 0.0000 0.0000 0.0000 1
Ac1 0.0000 0.0000 0.5000 1
Te1 0.2500 0.2500 0.2500 1
```

Calculated values
Raw total energy in eV/atom: -32.27
Crystal system: cubic
DFT formation energy in eV per atom: -1.514

# 9
Material: Sc2Al9Co3
Method: DFT, meta-GGA r2SCAN
State: relaxed

Geometry as CIF:
```
data_Sc2Al9Co3
_cell_length_a 12.4706
_cell_length_b 7.2933
_cell_length_c 9.0048
_cell_angle_alpha 90.00
_cell_angle_beta 90.00
_cell_angle_gamma 90.00
_space_group_name_H-M_alt 'C m c m'
_space_group_IT_number 63
_space_group_name_Hall '-C 2c 2'
loop_
_atom_site_label
_atom_site_fract_x
_atom_site_fract_y
_atom_site_fract_z
_atom_site_occupancy
Sc1 0.1598 0.1666 0.2500 1
Al1 0.0000 0.1193 0.7500 1
Al2 0.0000 0.3296 0.0446 1
Al3 0.1105 0.4508 0.7500 1
Al4 0.1702 0.1652 0.5733 1
Co1 0.0000 0.0000 0.0000 1
Co2 0.1716 0.5000 0.0000 1
```

Calculated values
Raw total energy in eV/atom: -9.34
Crystal system: orthorhombic
DFT formation energy in eV per atom: -0.551

# 10
Material: BaGeS3
Method: DFT, meta-GGA r2SCAN
State: relaxed

Geometry as CIF:
```
data_BaGeS3
_cell_length_a 15.5562
_cell_length_b 5.8042
_cell_length_c 13.4896
_cell_angle_alpha 90.00
_cell_angle_beta 115.43
_cell_angle_gamma 90.00
_space_group_name_H-M_alt 'P 1 21/c 1'
_space_group_IT_number 14
loop_
_space_group_symop_operation_xyz
'x,y,z'
'-x,-y,-z'
'-x,y+1/2,-z+1/2'
'x,-y+1/2,z+1/2'
loop_
_atom_site_label
_atom_site_fract_x
_atom_site_fract_y
_atom_site_fract_z
_atom_site_occupancy
Ba1 0.1359 0.2412 0.1056 1
Ba2 0.3636 0.7469 0.4697 1
Ge1 0.0746 0.6563 0.3069 1
Ge2 0.4257 0.1594 0.7337 1
S1 0.0740 0.2376 0.8134 1
S2 0.1002 0.7486 0.4736 1
S3 0.1784 0.7377 0.2447 1
S4 0.3225 0.2426 0.5686 1
S5 0.4007 0.2502 0.3757 1
S6 0.4255 0.7347 0.2391 1
```

Calculated values
Raw total energy in eV/atom: -14.19
Crystal system: monoclinic
DFT formation energy in eV per atom: -1.297

# 11
Material: Tm2RuAu
Method: DFT, meta-GGA r2SCAN
State: relaxed

Geometry as CIF:
```
data_Tm2RuAu
_cell_length_a 6.8507
_cell_length_b 6.8507
_cell_length_c 6.8507
_cell_angle_alpha 90.00
_cell_angle_beta 90.00
_cell_angle_gamma 90.00
_space_group_name_H-M_alt 'F m -3 m'
_space_group_IT_number 225
_space_group_name_Hall '-F 4 2 3'
loop_
_atom_site_label
_atom_site_fract_x
_atom_site_fract_y
_atom_site_fract_z
_atom_site_occupancy
Tm1 0.2500 0.2500 0.2500 1
Ru1 0.0000 0.0000 0.0000 1
Au1 0.0000 0.0000 0.5000 1
```

Calculated values
Raw total energy in eV/atom: -37.27
Crystal system: cubic
DFT formation energy in eV per atom: -0.706

# 12
Material: Yb3Si5
Method: DFT, meta-GGA r2SCAN
State: relaxed

Geometry as CIF:
```
data_Yb3Si5
_cell_length_a 6.4710
_cell_length_b 6.4710
_cell_length_c 4.0759
_cell_angle_alpha 90.00
_cell_angle_beta 90.00
_cell_angle_gamma 120.00
_space_group_name_H-M_alt 'P -6 2 m'
_space_group_IT_number 189
_space_group_name_Hall 'P -6 -2'
loop_
_atom_site_label
_atom_site_fract_x
_atom_site_fract_y
_atom_site_fract_z
_atom_site_occupancy
Yb1 0.0000 0.6441 0.0000 1
Si1 0.0000 0.2655 0.5000 1
Si2 0.3333 0.6667 0.5000 1
```

Calculated values
Raw total energy in eV/atom: -19.85
Crystal system: hexagonal
DFT formation energy in eV per atom: -0.667